Computed, not measured: a relaxed structure of MnB12H10O24 at the GGA+U level of DFT.

Lattice parameters (Å, degrees): 11.853 8.732 8.863 90.00 102.32 90.00
Element x y z (fractional)
O1 0.056 0.644 0.659
H1 0.314 0.123 0.142
H2 0.238 0.592 0.441
H3 0.686 0.623 0.358
O2 0.308 0.529 0.969
O3 0.692 0.471 0.031
O4 0.440 0.212 0.388
H4 0.087 0.089 0.574
O5 0.897 0.510 0.111
O6 0.176 0.649 0.475
O7 0.574 0.169 0.219
H5 0.913 0.589 0.926
H6 0.280 0.628 0.998
H7 0.762 0.408 0.559
H8 0.087 0.411 0.074
O8 0.224 0.485 0.697
B1 0.216 0.049 0.359
O9 0.103 0.010 0.389
O10 0.925 0.627 0.824
Mn1 0.500 0.500 0.000
O11 0.824 0.351 0.525
B2 0.473 0.252 0.742
B3 0.216 0.451 0.859
H9 0.720 0.372 0.002
B4 0.351 0.201 0.935
H10 0.238 0.908 0.941
O12 0.103 0.490 0.889
B5 0.847 0.092 0.890
B6 0.649 0.799 0.065
O13 0.776 0.515 0.303
B7 0.784 0.549 0.141
B8 0.582 0.014 0.203
H11 0.825 0.783 0.199
O14 0.560 0.788 0.612
O15 0.368 0.299 0.609
O16 0.776 0.985 0.803
B9 0.473 0.248 0.242
H12 0.720 0.128 0.502
B10 0.582 0.486 0.703
B11 0.784 0.951 0.641
B12 0.418 0.986 0.797
B13 0.030 0.913 0.293
O17 0.233 0.278 0.878
O18 0.514 0.585 0.771
B14 0.153 0.908 0.110
O19 0.440 0.288 0.888
O20 0.056 0.856 0.159
H13 0.175 0.217 0.801
O21 0.342 0.456 0.380
O22 0.224 0.015 0.197
B15 0.418 0.514 0.297
O23 0.426 0.831 0.781
B16 0.527 0.748 0.258
O24 0.308 0.971 0.469
O25 0.897 0.990 0.611
O26 0.824 0.149 0.025
O27 0.658 0.544 0.620
H14 0.314 0.377 0.642
O28 0.632 0.701 0.391
H15 0.280 0.872 0.498
H16 0.175 0.283 0.301
O29 0.767 0.778 0.622
O30 0.368 0.201 0.109
B17 0.649 0.701 0.565
Mn2 0.500 0.000 0.500
O31 0.514 0.915 0.271
O32 0.560 0.712 0.112
O33 0.233 0.222 0.378
O34 0.944 0.356 0.341
H17 0.825 0.717 0.699
O35 0.426 0.669 0.281
B18 0.030 0.587 0.793
B19 0.153 0.592 0.610
O36 0.925 0.873 0.324
B20 0.970 0.087 0.707
O37 0.176 0.851 0.975
O38 0.632 0.799 0.891
O39 0.767 0.722 0.122
O40 0.075 0.373 0.176
B21 0.351 0.299 0.435
H18 0.686 0.877 0.858
O41 0.574 0.331 0.719
O42 0.692 0.029 0.531
O43 0.342 0.044 0.880
H19 0.762 0.092 0.059
O44 0.486 0.415 0.229
B22 0.970 0.413 0.207
O45 0.486 0.085 0.729
O46 0.944 0.144 0.841
H20 0.913 0.911 0.426
O47 0.658 0.956 0.120
B23 0.847 0.408 0.390
B24 0.527 0.752 0.758
O48 0.075 0.127 0.676

**Total energy**: -7.08 eV per atom

***

Computed, not measured: a relaxed structure of MnBPH2O6 at the GGA+U level of DFT.

Lattice parameters (Å, degrees): 7.676 7.676 12.990 90.00 90.00 120.00
Element x y z (fractional)
O1 0.228 0.020 0.668
P1 0.920 0.250 0.431
O2 0.589 0.832 0.947
P2 0.670 0.750 0.236
O3 0.594 0.538 0.187
P3 0.080 0.330 0.903
H1 0.418 0.373 0.380
H2 0.373 0.418 0.620
O4 0.772 0.792 0.665
O5 0.207 0.124 0.175
O6 0.020 0.228 0.332
O7 0.168 0.756 0.280
O8 0.756 0.168 0.720
Mn1 0.122 0.000 0.333
O9 0.055 0.462 0.479
O10 0.523 0.278 0.063
O11 0.789 0.366 0.193
B1 0.445 0.689 0.873
H3 0.582 0.955 0.954
O12 0.477 0.755 0.271
Mn2 0.878 0.878 0.000
H4 0.277 0.589 0.073
O13 0.755 0.477 0.729
O14 0.945 0.406 0.854
B2 0.311 0.756 0.206
O15 0.208 0.980 0.999
B3 0.555 0.244 0.460
O16 0.411 0.244 0.386
O17 0.124 0.207 0.825
P4 0.330 0.080 0.097
B4 0.689 0.445 0.127
O18 0.406 0.945 0.146
H5 0.687 0.411 0.593
O19 0.278 0.523 0.937
Mn3 0.748 0.748 0.500
O20 0.876 0.083 0.509
O21 0.577 0.211 0.860
O22 0.423 0.634 0.474
H6 0.411 0.687 0.407
H7 0.723 0.313 0.260
B5 0.244 0.555 0.540
H8 0.313 0.723 0.740
O23 0.832 0.589 0.053
P5 0.250 0.920 0.569
P6 0.750 0.670 0.764
O24 0.366 0.789 0.807
O25 0.211 0.577 0.140
H9 0.627 0.045 0.713
O26 0.462 0.055 0.521
O27 0.792 0.772 0.335
Mn4 0.000 0.252 0.167
H10 0.589 0.277 0.927
O28 0.980 0.208 0.001
O29 0.245 0.722 0.604
Mn5 0.252 0.000 0.833
O30 0.083 0.876 0.491
B6 0.756 0.311 0.794
O31 0.634 0.423 0.526
O32 0.538 0.594 0.813
H11 0.955 0.582 0.046
Mn6 0.000 0.122 0.667
O33 0.917 0.793 0.842
O34 0.793 0.917 0.158
O35 0.722 0.245 0.396
H12 0.045 0.627 0.287
O36 0.244 0.411 0.614

**Total energy**: -7.01 eV per atom

***

| no. | ρ (Mg/m³) | E_form (eV per formula unit) |
| --- | --- | --- |
| 1 | 2.1 | -109.1 |
| 2 | 2.9 | -25.2 |